(A)
Density functional theory data (GGA+U) for a relaxed Li3Ni2C4O12 crystal.

The structure in POSCAR format:
```
Li3Ni2C4O12
1.0
-3.753 3.752 -0.967
2.409 0.295 5.982
6.778 3.947 -2.386
O C Li Ni
12 4 3 2
direct
0.205 0.463 0.299 O
0.886 0.825 0.447 O
0.939 0.108 0.769 O
0.132 0.917 0.240 O
0.557 0.385 0.272 O
0.210 0.330 0.057 O
0.962 0.612 0.737 O
0.516 0.523 0.691 O
0.661 0.172 0.548 O
0.734 0.947 0.200 O
0.763 0.677 0.938 O
0.499 0.030 0.781 O
0.692 0.101 0.701 C
0.323 0.395 0.210 C
0.917 0.894 0.298 C
0.746 0.605 0.794 C
0.526 0.050 0.317 Li
0.130 0.952 0.662 Li
0.220 0.455 0.825 Li
0.953 0.999 0.012 Ni
0.721 0.497 0.508 Ni
```

Magnetization, μB per atom: 0.218

(B)
Density functional theory data (GGA+U) for a relaxed Li3Ni2C4O12 crystal.

The structure in POSCAR format:
```
Li3Ni2C4O12
1.0
-4.305 -2.881 -0.713
4.976 -3.218 2.049
-2.119 1.425 7.273
O Ni C Li
12 2 4 3
direct
0.015 0.103 0.247 O
0.486 0.401 0.756 O
0.411 0.173 0.401 O
0.620 0.916 0.882 O
0.622 0.848 0.593 O
0.900 0.656 0.086 O
0.517 0.615 0.243 O
0.374 0.080 0.116 O
0.096 0.341 0.911 O
0.110 0.392 0.620 O
0.868 0.569 0.371 O
0.991 0.901 0.766 O
0.995 0.998 0.004 Ni
0.499 0.508 0.499 Ni
0.738 0.883 0.741 C
0.227 0.374 0.763 C
0.272 0.122 0.262 C
0.765 0.615 0.233 C
0.695 0.315 0.934 Li
0.303 0.688 0.061 Li
0.805 0.190 0.444 Li
```

Magnetization, μB per atom: 0.143

Least stable: (A)

(A)
Density functional theory data (GGA+U) for a relaxed Li2VSiCO7 crystal.

The structure in POSCAR format:
```
Li2VSiCO7
1.0
0.469 6.400 5.135
0.470 -6.400 5.135
7.832 0.000 -5.003
O Li C Si V
28 8 4 4 4
direct
0.229 0.680 0.700 O
0.886 0.610 0.091 O
0.792 0.350 0.304 O
0.639 0.865 0.909 O
0.706 0.992 0.179 O
0.447 0.667 0.526 O
0.344 0.118 0.585 O
0.083 0.803 0.474 O
0.140 0.364 0.910 O
0.381 0.615 0.073 O
0.632 0.906 0.415 O
0.947 0.167 0.526 O
0.844 0.618 0.585 O
0.880 0.115 0.073 O
0.759 0.544 0.821 O
0.582 0.303 0.474 O
0.258 0.044 0.821 O
0.899 0.958 0.696 O
0.070 0.021 0.299 O
0.570 0.521 0.299 O
0.132 0.406 0.415 O
0.635 0.369 0.927 O
0.135 0.869 0.927 O
0.400 0.458 0.696 O
0.292 0.850 0.304 O
0.729 0.180 0.701 O
0.386 0.111 0.090 O
0.206 0.492 0.179 O
0.206 0.255 0.720 Li
0.995 0.544 0.281 Li
0.073 0.821 0.102 Li
0.428 0.677 0.898 Li
0.495 0.045 0.281 Li
0.929 0.177 0.898 Li
0.573 0.322 0.102 Li
0.705 0.755 0.719 Li
0.236 0.485 0.047 C
0.765 0.514 0.954 C
0.736 0.986 0.047 C
0.264 0.014 0.953 C
0.301 0.552 0.578 Si
0.698 0.449 0.422 Si
0.199 0.949 0.422 Si
0.801 0.052 0.578 Si
0.447 0.691 0.326 V
0.059 0.803 0.674 V
0.946 0.191 0.326 V
0.559 0.304 0.674 V
```

Magnetization, μB per atom: 0.083

(B)
Density functional theory data (GGA+U) for a relaxed Li2VSiCO7 crystal.

The structure in POSCAR format:
```
Li2VSiCO7
1.0
-0.017 -6.200 -1.268
-1.243 -2.030 9.942
-8.521 0.130 -0.521
C O V Li Si
4 28 4 8 4
direct
0.250 0.134 0.946 C
0.250 0.634 0.946 C
0.750 0.366 0.054 C
0.750 0.866 0.054 C
0.750 0.808 0.549 O
0.250 0.692 0.451 O
0.750 0.083 0.402 O
0.250 0.149 0.092 O
0.542 0.097 0.675 O
0.542 0.597 0.675 O
0.458 0.903 0.325 O
0.250 0.518 0.885 O
0.750 0.308 0.549 O
0.750 0.583 0.402 O
0.250 0.917 0.598 O
0.750 0.767 0.161 O
0.250 0.018 0.886 O
0.250 0.649 0.092 O
0.250 0.733 0.839 O
0.458 0.403 0.325 O
0.250 0.233 0.839 O
0.958 0.597 0.675 O
0.042 0.403 0.325 O
0.750 0.351 0.908 O
0.750 0.267 0.161 O
0.750 0.482 0.115 O
0.250 0.192 0.451 O
0.042 0.903 0.325 O
0.250 0.417 0.598 O
0.750 0.851 0.908 O
0.750 0.982 0.114 O
0.958 0.097 0.675 O
0.250 0.098 0.658 V
0.750 0.402 0.342 V
0.250 0.598 0.658 V
0.750 0.902 0.342 V
0.010 0.880 0.777 Li
0.990 0.120 0.223 Li
0.990 0.620 0.223 Li
0.010 0.380 0.777 Li
0.490 0.380 0.777 Li
0.510 0.120 0.223 Li
0.510 0.620 0.223 Li
0.490 0.880 0.777 Li
0.250 0.852 0.426 Si
0.750 0.648 0.574 Si
0.250 0.352 0.426 Si
0.750 0.148 0.574 Si
```

Magnetization, μB per atom: 0.003

Least stable: (B)